[1]
# LaMgFe2O6

A geometry-optimized LaMgFe2O6 structure (GGA+U, Materials Project).

a b c (Å): 7.713 5.496 5.354
angles (deg): 90.00 90.00 90.00
Element x y z (fractional)
1 La 0.000 0.217 0.000
2 La 0.500 0.783 0.500
3 Mg 0.000 0.694 0.466
4 Mg 0.500 0.306 0.966
5 Fe 0.248 0.750 0.992
6 Fe 0.252 0.250 0.492
7 Fe 0.748 0.250 0.492
8 Fe 0.752 0.750 0.992
9 O 0.000 0.295 0.569
10 O 0.000 0.771 0.862
11 O 0.192 0.949 0.300
12 O 0.196 0.482 0.223
13 O 0.304 0.518 0.723
14 O 0.308 0.051 0.800
15 O 0.500 0.229 0.362
16 O 0.500 0.705 0.069
17 O 0.692 0.051 0.800
18 O 0.696 0.518 0.723
19 O 0.804 0.482 0.223
20 O 0.808 0.949 0.300

Calculated values
- Spin magnetization: 0.9001 μB per atom
- Space-group type: No. 31
- Crystal system: orthorhombic
- Formation enthalpy at 0 K: -23.76 eV/f.u.

[2]
# Sr2La14Mg4Fe12O45

A geometry-optimized Sr2La14Mg4Fe12O45 structure (GGA+U, Materials Project).

a b c (Å): 5.607 5.673 31.642
angles (deg): 89.91 89.90 89.98
Element x y z (fractional)
1 Sr 0.000 0.000 0.000
2 Sr 0.001 0.999 0.249
3 La 0.006 0.991 0.752
4 La 0.008 0.991 0.500
5 La 0.026 0.066 0.626
6 La 0.034 0.068 0.128
7 La 0.037 0.068 0.377
8 La 0.039 0.069 0.877
9 La 0.503 0.556 0.876
10 La 0.507 0.555 0.376
11 La 0.507 0.566 0.626
12 La 0.509 0.552 0.127
13 La 0.525 0.492 0.248
14 La 0.528 0.490 0.500
15 La 0.528 0.494 0.998
16 La 0.529 0.490 0.752
17 Mg 0.510 0.022 0.193
18 Mg 0.510 0.022 0.808
19 Mg 0.511 0.023 0.943
20 Mg 0.512 0.021 0.444
21 Fe 0.014 0.527 0.314
22 Fe 0.015 0.527 0.937
23 Fe 0.016 0.529 0.187
24 Fe 0.017 0.527 0.563
25 Fe 0.017 0.528 0.064
26 Fe 0.018 0.527 0.689
27 Fe 0.019 0.527 0.437
28 Fe 0.019 0.527 0.815
29 Fe 0.509 0.024 0.059
30 Fe 0.510 0.025 0.309
31 Fe 0.515 0.028 0.564
32 Fe 0.515 0.028 0.688
33 O 0.095 0.534 0.252
34 O 0.101 0.536 0.002
35 O 0.104 0.547 0.752
36 O 0.104 0.549 0.499
37 O 0.224 0.815 0.575
38 O 0.227 0.815 0.676
39 O 0.242 0.810 0.828
40 O 0.244 0.805 0.175
41 O 0.245 0.810 0.424
42 O 0.246 0.806 0.923
43 O 0.252 0.810 0.080
44 O 0.253 0.808 0.329
45 O 0.301 0.302 0.175
46 O 0.304 0.295 0.080
47 O 0.304 0.304 0.924
48 O 0.305 0.296 0.329
49 O 0.306 0.319 0.676
50 O 0.307 0.319 0.575
51 O 0.308 0.302 0.424
52 O 0.308 0.302 0.828
53 O 0.425 0.054 0.748
54 O 0.427 0.052 0.503
55 O 0.438 0.061 0.002
56 O 0.440 0.063 0.252
57 O 0.601 0.007 0.626
58 O 0.724 0.739 0.057
59 O 0.726 0.741 0.307
60 O 0.727 0.735 0.700
61 O 0.727 0.737 0.551
62 O 0.728 0.735 0.946
63 O 0.728 0.738 0.194
64 O 0.732 0.737 0.445
65 O 0.732 0.738 0.805
66 O 0.793 0.245 0.192
67 O 0.794 0.234 0.061
68 O 0.794 0.236 0.310
69 O 0.799 0.241 0.943
70 O 0.808 0.232 0.806
71 O 0.808 0.236 0.700
72 O 0.809 0.231 0.445
73 O 0.809 0.239 0.551
74 O 0.929 0.503 0.626
75 O 0.932 0.506 0.876
76 O 0.940 0.509 0.375
77 O 0.941 0.513 0.125

Calculated values
- Spin magnetization: 0.7792 μB per atom
- Energy relative to the lowest polymorph listed for this composition: 0 meV/atom
- Space-group type: No. 1
- Crystal system: triclinic
- Formation enthalpy at 0 K: -221.41 eV/f.u.

[3]
# Sr2La14Mg4Fe12O45

A geometry-optimized Sr2La14Mg4Fe12O45 structure (GGA+U, Materials Project).

a b c (Å): 5.639 7.944 22.574
angles (deg): 90.17 90.02 90.02
Element x y z (fractional)
1 Sr 0.000 0.000 0.000
2 Sr 0.008 0.003 0.255
3 La 0.007 0.003 0.491
4 La 0.014 0.496 0.243
5 La 0.025 0.501 0.486
6 La 0.030 0.503 0.737
7 La 0.032 0.502 0.990
8 La 0.496 0.503 0.864
9 La 0.498 0.497 0.117
10 La 0.500 0.502 0.614
11 La 0.507 0.501 0.363
12 La 0.524 0.003 0.371
13 La 0.536 0.000 0.622
14 La 0.540 0.996 0.878
15 La 0.541 0.005 0.130
16 La 0.998 0.995 0.748
17 Mg 0.003 0.268 0.617
18 Mg 0.004 0.733 0.617
19 Mg 0.006 0.267 0.119
20 Mg 0.007 0.730 0.869
21 Fe 0.003 0.733 0.120
22 Fe 0.006 0.270 0.868
23 Fe 0.016 0.254 0.369
24 Fe 0.016 0.748 0.369
25 Fe 0.514 0.756 0.244
26 Fe 0.515 0.756 0.744
27 Fe 0.516 0.244 0.742
28 Fe 0.516 0.248 0.495
29 Fe 0.517 0.244 0.997
30 Fe 0.518 0.246 0.243
31 Fe 0.518 0.756 0.495
32 Fe 0.519 0.755 0.994
33 O 0.095 0.001 0.371
34 O 0.240 0.303 0.300
35 O 0.240 0.709 0.053
36 O 0.241 0.297 0.050
37 O 0.241 0.696 0.301
38 O 0.244 0.269 0.552
39 O 0.244 0.286 0.802
40 O 0.252 0.715 0.803
41 O 0.255 0.734 0.554
42 O 0.281 0.711 0.677
43 O 0.285 0.289 0.923
44 O 0.285 0.703 0.927
45 O 0.287 0.695 0.427
46 O 0.288 0.308 0.427
47 O 0.288 0.732 0.173
48 O 0.289 0.291 0.675
49 O 0.297 0.268 0.172
50 O 0.421 0.002 0.740
51 O 0.433 0.001 0.481
52 O 0.435 0.000 0.987
53 O 0.446 0.000 0.249
54 O 0.590 0.503 0.237
55 O 0.600 0.502 0.506
56 O 0.606 0.497 0.748
57 O 0.608 0.500 0.998
58 O 0.733 0.225 0.315
59 O 0.734 0.779 0.315
60 O 0.739 0.197 0.064
61 O 0.749 0.184 0.561
62 O 0.749 0.804 0.065
63 O 0.758 0.813 0.811
64 O 0.760 0.823 0.560
65 O 0.762 0.181 0.812
66 O 0.781 0.802 0.934
67 O 0.783 0.811 0.684
68 O 0.790 0.184 0.685
69 O 0.790 0.195 0.187
70 O 0.791 0.197 0.933
71 O 0.792 0.217 0.438
72 O 0.792 0.786 0.438
73 O 0.792 0.812 0.185
74 O 0.909 0.501 0.625
75 O 0.915 0.496 0.868
76 O 0.923 0.504 0.128
77 O 0.931 0.501 0.373

Calculated values
- Spin magnetization: 0.7792 μB per atom
- Energy relative to the lowest polymorph listed for this composition: 6 meV/atom
- Space-group type: No. 1
- Crystal system: triclinic
- Formation enthalpy at 0 K: -220.96 eV/f.u.

[4]
# La2MgFe2Te2O12

A geometry-optimized La2MgFe2Te2O12 structure (GGA+U, Materials Project).

a b c (Å): 5.578 5.662 7.885
angles (deg): 91.02 90.87 90.22
Element x y z (fractional)
1 La 0.000 0.000 0.000
2 La 0.487 0.518 0.479
3 Mg 0.485 0.014 0.734
4 Fe 0.500 0.586 0.952
5 Fe 0.994 0.490 0.249
6 Te 0.493 0.990 0.247
7 Te 0.990 0.483 0.749
8 O 0.093 0.487 0.989
9 O 0.170 0.198 0.723
10 O 0.215 0.787 0.268
11 O 0.284 0.677 0.723
12 O 0.298 0.267 0.275
13 O 0.427 0.972 0.998
14 O 0.560 0.961 0.485
15 O 0.678 0.698 0.190
16 O 0.693 0.309 0.801
17 O 0.768 0.189 0.210
18 O 0.783 0.760 0.798
19 O 0.912 0.498 0.511

Calculated values
- Spin magnetization: 0.0000 μB per atom
- Energy relative to the lowest polymorph listed for this composition: 56 meV/atom
- Space-group type: No. 1
- Crystal system: triclinic
- Formation enthalpy at 0 K: -43.77 eV/f.u.

[5]
# La2MgFe2Te2O12

A geometry-optimized La2MgFe2Te2O12 structure (GGA+U, Materials Project).

a b c (Å): 5.333 5.341 10.990
angles (deg): 89.89 89.90 60.15
Element x y z (fractional)
1 La 0.000 0.000 0.000
2 La 0.001 0.999 0.568
3 Mg 0.998 0.000 0.284
4 Fe 0.337 0.331 0.784
5 Fe 0.667 0.669 0.284
6 Te 0.331 0.335 0.284
7 Te 0.667 0.664 0.784
8 O 0.028 0.650 0.382
9 O 0.030 0.318 0.185
10 O 0.314 0.033 0.383
11 O 0.316 0.652 0.185
12 O 0.376 0.650 0.681
13 O 0.377 0.968 0.887
14 O 0.644 0.976 0.682
15 O 0.645 0.378 0.887
16 O 0.648 0.029 0.186
17 O 0.649 0.321 0.382
18 O 0.971 0.378 0.680
19 O 0.976 0.646 0.886

Calculated values
- Spin magnetization: 0.4210 μB per atom
- Energy relative to the lowest polymorph listed for this composition: 0 meV/atom
- Space-group type: No. 1
- Crystal system: triclinic
- Formation enthalpy at 0 K: -44.84 eV/f.u.

[6]
# La2MgFe2Te2O12

A geometry-optimized La2MgFe2Te2O12 structure (GGA+U, Materials Project).

a b c (Å): 5.437 5.457 10.101
angles (deg): 89.94 89.77 60.24
Element x y z (fractional)
1 La 0.000 0.000 0.000
2 La 0.001 0.999 0.496
3 Mg 0.335 0.333 0.520
4 Fe 0.335 0.332 0.784
5 Fe 0.665 0.672 0.259
6 Te 0.334 0.332 0.240
7 Te 0.667 0.666 0.742
8 O 0.017 0.627 0.147
9 O 0.052 0.345 0.373
10 O 0.353 0.021 0.144
11 O 0.354 0.605 0.369
12 O 0.372 0.667 0.851
13 O 0.388 0.989 0.632
14 O 0.608 0.048 0.370
15 O 0.625 0.352 0.143
16 O 0.626 0.386 0.632
17 O 0.669 0.958 0.851
18 O 0.959 0.373 0.852
19 O 0.991 0.624 0.632

Calculated values
- Spin magnetization: 0.4210 μB per atom
- Energy relative to the lowest polymorph listed for this composition: 17 meV/atom
- Space-group type: No. 1
- Crystal system: triclinic
- Formation enthalpy at 0 K: -44.52 eV/f.u.

[7]
# La2MgFe2Te2O12

A geometry-optimized La2MgFe2Te2O12 structure (GGA+U, Materials Project).

a b c (Å): 5.581 5.681 7.973
angles (deg): 89.84 89.54 85.66
Element x y z (fractional)
1 La 0.000 0.000 0.000
2 La 0.481 0.615 0.493
3 Mg 0.496 0.516 0.975
4 Fe 0.497 0.078 0.258
5 Fe 0.976 0.543 0.737
6 Te 0.495 0.073 0.753
7 Te 0.977 0.535 0.245
8 O 0.074 0.546 0.478
9 O 0.169 0.244 0.204
10 O 0.204 0.271 0.811
11 O 0.263 0.701 0.175
12 O 0.325 0.786 0.815
13 O 0.418 0.037 0.521
14 O 0.573 0.128 0.992
15 O 0.645 0.371 0.720
16 O 0.696 0.369 0.297
17 O 0.779 0.830 0.280
18 O 0.789 0.873 0.731
19 O 0.865 0.559 0.009

Calculated values
- Spin magnetization: 0.4210 μB per atom
- Energy relative to the lowest polymorph listed for this composition: 49 meV/atom
- Space-group type: No. 1
- Crystal system: triclinic
- Formation enthalpy at 0 K: -43.91 eV/f.u.

[8]
# LaMgTiFeO6

A geometry-optimized LaMgTiFeO6 structure (GGA+U, Materials Project).

a b c (Å): 5.372 9.496 9.496
angles (deg): 71.28 90.04 90.04
Element x y z (fractional)
1 Fe 0.501 0.250 0.252
2 Fe 0.501 0.750 0.752
3 Fe 0.001 0.752 0.250
4 Fe 0.001 0.252 0.750
5 La 0.492 0.643 0.107
6 La 0.992 0.107 0.143
7 La 0.992 0.607 0.643
8 La 0.492 0.143 0.607
9 O 0.132 0.388 0.867
10 O 0.770 0.138 0.914
11 O 0.132 0.888 0.367
12 O 0.696 0.068 0.374
13 O 0.275 0.606 0.337
14 O 0.196 0.874 0.068
15 O 0.632 0.367 0.388
16 O 0.420 0.644 0.601
17 O 0.696 0.568 0.874
18 O 0.420 0.144 0.101
19 O 0.186 0.179 0.380
20 O 0.275 0.106 0.837
21 O 0.920 0.601 0.144
22 O 0.775 0.837 0.606
23 O 0.632 0.867 0.888
24 O 0.770 0.638 0.414
25 O 0.186 0.679 0.880
26 O 0.686 0.880 0.179
27 O 0.920 0.101 0.644
28 O 0.196 0.374 0.568
29 O 0.270 0.914 0.638
30 O 0.686 0.380 0.679
31 O 0.270 0.414 0.138
32 O 0.775 0.337 0.106
33 Mg 0.526 0.351 0.902
34 Mg 0.526 0.851 0.402
35 Mg 0.026 0.902 0.851
36 Mg 0.026 0.402 0.351
37 Ti 0.502 0.002 0.996
38 Ti 0.002 0.996 0.502
39 Ti 0.002 0.496 0.002
40 Ti 0.502 0.502 0.496

Calculated values
- Spin magnetization: 0.0000 μB per atom
- Formation enthalpy at 0 K: -30.31 eV/f.u.

Q: What is the spin magnetization in the third record?
A: 0.7792 μB per atom